*i*
A plane-wave DFT calculation with PBE with a Hubbard U was carried out for LiCrP2O7 after structural relaxation.

Total magnetic moment   12.0 μB/cell

extended XYZ file:
```
44
Lattice="6.680 0.000 0.000 0.000 8.334 0.000 -2.298 0.000 8.852" Properties=species:S:1:pos:R:3 pbc="T T T"
Li 1.020 0.648 2.228
Li 1.020 3.519 2.228
Li 3.362 4.815 6.624
Li 3.362 7.686 6.624
Cr -0.050 0.552 6.638
Cr -0.050 3.615 6.638
Cr 4.432 4.719 2.213
Cr 4.432 7.782 2.213
P -2.165 2.084 8.362
P -0.701 6.251 4.709
P 0.578 6.251 8.584
P 2.048 2.084 4.899
P 2.334 6.251 3.953
P 3.804 2.084 0.268
P 5.082 2.084 4.142
P 6.547 6.251 0.490
O -1.843 0.790 7.558
O -1.843 3.377 7.558
O -0.928 4.987 5.517
O -0.928 7.514 5.517
O -0.643 2.084 5.395
O 0.624 2.084 0.934
O 1.483 6.251 0.483
O 0.717 6.251 4.012
O 1.523 2.084 3.487
O 0.525 2.084 7.886
O 0.784 4.990 7.773
O 0.784 7.511 7.773
O 1.742 0.791 5.710
O 1.742 3.376 5.710
O 2.640 4.958 3.141
O 2.640 7.543 3.141
O 3.598 0.823 1.078
O 3.598 3.344 1.078
O 3.857 6.251 0.965
O 2.858 6.251 5.364
O 3.665 2.084 4.840
O 2.899 2.084 8.369
O 3.757 6.251 7.918
O 5.025 6.251 3.456
O 5.309 0.820 3.335
O 5.309 3.347 3.335
O 6.225 4.957 1.293
O 6.225 7.544 1.293
```

*ii*
A plane-wave DFT calculation with PBE with a Hubbard U was carried out for LiCrP2O7 after structural relaxation.

Total magnetic moment   6.0 μB/cell

extended XYZ file:
```
22
Lattice="6.147 0.000 0.000 -2.102 5.940 0.000 -1.829 -1.843 7.388" Properties=species:S:1:pos:R:3 pbc="T T T"
Li 0.000 0.000 0.000
Li -0.914 -0.921 3.694
Cr 0.419 3.670 1.700
Cr 1.797 0.427 5.688
P -1.281 1.173 5.848
P 1.684 0.816 2.356
P 0.532 3.281 5.032
P 3.497 2.924 1.540
O -1.498 3.576 2.311
O -1.714 1.859 7.122
O -0.744 2.316 4.823
O 0.599 1.624 1.601
O -0.176 0.104 5.983
O 2.112 -0.332 1.454
O 1.215 0.364 3.740
O 1.001 3.733 3.648
O 0.104 4.429 5.933
O 2.392 3.993 1.404
O 1.617 2.473 5.786
O 2.960 1.781 2.565
O 3.930 2.238 0.266
O 3.714 0.522 5.076
```

*iii*
A plane-wave DFT calculation with PBE with a Hubbard U was carried out for LiCrP2O7 after structural relaxation.

Total magnetic moment   6.0 μB/cell
Piezoelectric modulus e_max   0.44 C/m2

extended XYZ file:
```
22
Lattice="4.868 0.000 0.000 0.000 8.184 0.000 -2.216 0.000 6.642" Properties=species:S:1:pos:R:3 pbc="T T T"
Li 0.485 0.000 1.160
Li 2.168 4.092 5.483
Cr 0.539 2.969 1.520
Cr 2.113 7.060 5.123
P -0.251 0.650 3.896
P 1.891 5.584 0.148
P 0.762 1.492 6.494
P 2.903 4.742 2.746
O -0.535 4.414 2.354
O -0.192 1.386 2.553
O -1.285 6.745 6.517
O 1.187 4.219 0.069
O 1.716 1.496 0.718
O 0.665 7.604 3.875
O 0.324 1.740 4.962
O 2.328 5.832 1.680
O 1.988 3.512 2.767
O 0.936 5.588 5.924
O 1.466 0.128 6.574
O 3.937 2.653 0.125
O 2.845 5.478 4.089
O 3.187 0.322 4.288
```

Stability summary: most stable *iii*, least stable *ii*.

*i*
A plane-wave DFT calculation with PBE with a Hubbard U was carried out for Li4Cr2P3O12 after structural relaxation.

Total magnetic moment   28.0 μB/cell

extended XYZ file:
```
84
Lattice="9.038 0.000 0.000 0.000 8.833 0.000 -8.876 0.000 12.153" Properties=species:S:1:pos:R:3 pbc="T T T"
Li -2.523 2.134 3.939
Li -6.961 2.282 10.015
Li -0.420 0.576 3.500
Li -4.858 3.840 9.576
Li 0.396 5.175 3.451
Li -4.041 8.073 9.528
Li 1.826 2.093 2.167
Li -2.612 2.324 8.243
Li 2.775 6.509 3.910
Li -1.663 6.740 9.986
Li 4.204 0.759 2.625
Li -0.234 3.657 8.702
Li 5.020 4.992 2.577
Li 0.582 8.257 8.653
Li 7.123 6.550 2.138
Li 2.685 6.699 8.214
Cr -2.188 4.854 4.744
Cr -6.626 8.395 10.820
Cr 2.300 4.823 1.319
Cr -2.138 8.426 7.395
Cr 2.300 0.407 4.757
Cr -2.138 4.010 10.834
Cr 6.789 0.438 1.333
Cr 2.351 3.979 7.409
P -5.335 0.904 7.876
P -0.898 3.512 1.800
P -3.453 5.385 7.944
P 0.985 7.864 1.868
P -0.381 2.155 6.069
P -4.819 2.262 12.145
P 4.981 6.571 0.007
P 0.543 6.678 6.084
P -0.823 0.968 10.285
P 3.615 3.448 4.209
P 1.060 5.321 10.353
P 5.498 7.928 4.276
O -1.569 4.645 2.664
O -6.006 8.604 8.740
O -1.249 2.097 2.341
O -5.687 2.319 8.417
O -4.973 5.378 8.214
O -0.535 7.871 2.138
O -7.562 5.176 11.806
O -3.124 8.073 5.729
O -3.054 5.063 6.531
O 1.384 8.186 0.455
O -3.786 0.709 8.114
O 0.652 3.707 2.038
O -5.636 1.391 11.171
O -1.198 3.025 5.094
O 1.540 6.463 2.328
O -2.898 6.786 8.404
O -0.277 5.892 5.073
O -4.715 7.357 11.149
O -1.439 1.361 6.918
O 2.999 3.055 0.841
O 1.567 0.171 2.813
O -2.871 4.245 8.890
O 0.474 1.201 5.177
O -3.964 3.215 11.254
O 4.126 5.617 0.899
O -0.312 7.632 6.975
O 3.033 4.587 3.263
O -1.405 8.662 9.339
O -2.837 5.778 11.312
O 1.601 7.471 5.235
O 4.878 1.476 1.004
O 0.440 2.941 7.080
O 3.060 2.047 3.748
O -1.377 2.369 9.825
O 1.361 5.807 7.059
O 5.798 7.441 0.982
O -0.490 5.126 10.115
O 3.948 8.123 4.039
O -1.221 0.647 11.698
O 3.217 3.769 5.621
O 3.286 0.760 6.423
O 7.724 3.657 0.347
O 0.697 0.961 10.015
O 5.135 3.455 3.939
O 5.849 6.513 3.736
O 1.411 6.735 9.812
O 6.169 0.229 3.413
O 1.731 4.187 9.489
```

*ii*
A plane-wave DFT calculation with PBE with a Hubbard U was carried out for Li4Cr2P3O12 after structural relaxation.

Total magnetic moment   14.0 μB/cell

extended XYZ file:
```
42
Lattice="8.314 0.000 0.000 4.100 7.459 0.000 0.044 4.739 7.777" Properties=species:S:1:pos:R:3 pbc="T T T"
Li 1.133 1.879 0.637
Li 1.722 2.164 3.084
Li 2.658 4.451 5.082
Li 5.196 4.790 2.831
Li 7.262 7.408 4.946
Li 9.800 7.747 2.696
Li 10.736 10.034 4.693
Li 11.325 10.319 7.140
Cr 4.166 7.303 3.598
Cr 4.149 2.445 0.467
Cr 8.308 9.753 7.310
Cr 8.292 4.895 4.179
P 2.416 4.842 1.999
P 5.356 9.400 5.911
P 7.064 7.158 1.917
P 5.393 5.040 5.860
P 7.102 2.798 1.866
P 10.041 7.356 5.778
O 2.782 6.288 2.388
O 4.222 10.406 5.582
O 1.625 4.138 3.152
O 2.501 7.321 7.113
O 3.701 3.988 1.783
O 5.583 8.441 4.683
O 4.968 8.662 7.188
O 2.836 1.255 1.608
O 5.663 6.651 2.338
O 4.402 5.179 4.673
O 6.712 10.163 6.076
O 4.914 5.760 7.109
O 7.544 6.438 0.668
O 5.746 2.035 1.701
O 8.056 7.019 3.104
O 6.795 5.547 5.439
O 9.622 10.943 6.170
O 7.490 3.536 0.589
O 6.875 3.757 3.094
O 8.756 8.210 5.994
O 9.957 4.877 0.664
O 10.832 8.060 4.625
O 8.236 1.792 2.195
O 9.676 5.910 5.390
```

Stability summary: most stable *ii*, least stable *i*.

*i*
A plane-wave DFT calculation with PBE with a Hubbard U was carried out for LiCrP4O12 after structural relaxation.

Total magnetic moment   12.0 μB/cell

extended XYZ file:
```
72
Lattice="9.071 0.000 0.000 0.000 10.379 0.000 -0.193 0.000 9.419" Properties=species:S:1:pos:R:3 pbc="T T T"
Li 0.912 0.000 2.375
Li 3.356 8.830 7.070
Li 5.523 3.641 2.348
Li 7.967 5.189 7.044
Cr 2.154 4.901 7.206
Cr 2.264 4.079 2.485
Cr 6.614 9.268 6.934
Cr 6.725 10.091 2.213
P 0.524 5.895 0.359
P 0.455 3.067 5.121
P 2.034 2.082 9.281
P 2.140 6.896 4.553
P 2.224 0.739 5.195
P 2.378 8.243 0.504
P 4.168 5.979 0.418
P 4.083 3.003 5.059
P 4.795 8.192 4.360
P 4.710 0.789 9.001
P 6.500 3.054 8.915
P 6.654 5.928 4.223
P 6.739 1.706 4.866
P 6.845 7.271 0.138
P 8.423 8.256 4.298
P 8.355 0.706 9.059
O 0.572 4.256 6.073
O 0.594 5.684 8.289
O 0.790 4.717 1.261
O 0.868 3.289 3.694
O 0.864 7.795 4.243
O 0.797 1.142 8.911
O 1.263 7.138 0.968
O 1.203 1.867 5.831
O 1.962 0.630 3.748
O 2.200 9.380 1.432
O 2.111 3.233 8.329
O 2.208 5.763 3.581
O 2.269 2.394 1.338
O 2.232 9.973 6.123
O 2.244 6.574 6.027
O 2.201 8.370 8.453
O 3.219 8.032 4.169
O 3.134 0.966 8.928
O 3.558 4.023 6.027
O 3.531 5.743 8.414
O 3.723 7.407 0.971
O 3.644 1.529 5.439
O 3.825 4.874 1.407
O 3.824 3.306 3.583
O 5.054 8.495 5.836
O 5.054 10.063 8.012
O 5.234 6.718 3.980
O 5.155 2.217 8.448
O 5.348 0.554 1.004
O 5.320 9.213 3.392
O 5.745 6.155 0.491
O 5.659 2.843 5.250
O 6.678 3.181 0.966
O 6.635 1.384 3.392
O 6.646 4.783 3.295
O 6.610 7.584 8.081
O 6.671 0.573 5.837
O 6.768 8.422 1.090
O 6.679 4.190 7.987
O 6.916 5.819 5.671
O 7.675 7.056 3.588
O 7.616 1.949 8.451
O 8.081 6.331 0.508
O 8.015 2.606 5.176
O 8.010 8.478 5.725
O 8.088 9.906 8.158
O 8.285 0.495 1.130
O 8.307 9.445 3.346
```

*ii*
A plane-wave DFT calculation with PBE with a Hubbard U was carried out for LiCrP4O12 after structural relaxation.

Total magnetic moment   6.0 μB/cell

extended XYZ file:
```
36
Lattice="7.246 0.000 0.000 0.000 8.411 0.000 -0.264 0.000 7.639" Properties=species:S:1:pos:R:3 pbc="T T T"
Li 1.639 0.000 1.106
Li 5.344 4.205 6.534
Cr 1.538 6.689 5.072
Cr 5.444 2.483 2.568
P 0.785 3.596 4.295
P 1.021 3.156 1.467
P 3.006 5.015 0.131
P 2.978 1.500 4.808
P 4.004 5.706 2.832
P 3.977 0.809 7.509
P 5.961 7.361 6.172
P 6.197 7.802 3.344
O 0.265 7.061 3.473
O 0.224 7.481 6.352
O 0.670 4.881 5.063
O 1.416 3.909 2.861
O 1.630 4.180 0.412
O 1.609 1.806 1.456
O 1.888 2.694 5.031
O 2.263 0.190 4.769
O 2.434 5.962 6.664
O 2.823 8.318 7.623
O 3.122 5.898 1.498
O 3.112 6.071 3.976
O 3.870 1.866 3.663
O 3.860 1.693 6.142
O 4.160 4.112 0.017
O 4.549 1.757 0.976
O 4.719 4.395 2.871
O 5.095 6.899 2.609
O 5.374 6.011 6.183
O 5.353 8.385 7.228
O 5.566 8.115 4.779
O 6.312 0.676 2.576
O 6.759 3.276 1.287
O 6.717 2.856 4.167
```

Stability summary: most stable *i*, least stable *ii*.